An optimized crystal structure of FeAgMo2O8. Source: Materials Project, functional PBE+U.

Lattice parameters (Å, degrees): 10.114 5.879 5.029 90.00 90.37 90.00
Space group P2/c (No. 13)
Unique sites:
Fe 0.000 0.167 0.250 (multiplicity 2)
Ag 0.500 0.183 0.250 (multiplicity 2)
Mo 0.232 0.320 0.749 (multiplicity 4)
O 0.107 0.123 0.911 (multiplicity 4)
O 0.122 0.377 0.428 (multiplicity 4)
O 0.326 0.405 0.059 (multiplicity 4)
O 0.348 0.129 0.619 (multiplicity 4)

Properties
The value obtained for the formation energy from the elements is -163.2 kJ per mole of atoms.